[1]
Entry from the Materials Project database: a geometry-optimized NaTm structure (PBE).

The structure in CIF format:
```
data_NaTm
_space_group_name_H-M_alt 'P -6 m 2'
_space_group_IT_number 187
_space_group_name_Hall 'P -6 2'
_cell_length_a 3.4327
_cell_length_b 3.4327
_cell_length_c 6.2196
_cell_angle_alpha 90.00
_cell_angle_beta 90.00
_cell_angle_gamma 120.00
loop_
_atom_site_label
_atom_site_fract_x
_atom_site_fract_y
_atom_site_fract_z
_atom_site_occupancy
Na1 0.0000 0.0000 0.0000 1
Tm1 0.6667 0.3333 0.5000 1
```


[2]
Entry from the Materials Project database: a geometry-optimized NaTm3 structure (PBE).

The structure in CIF format:
```
data_NaTm3
_space_group_name_H-M_alt 'F m -3 m'
_space_group_IT_number 225
_space_group_name_Hall '-F 4 2 3'
_cell_length_a 7.850
_cell_length_b 7.850
_cell_length_c 7.850
_cell_angle_alpha 90.00
_cell_angle_beta 90.00
_cell_angle_gamma 90.00
loop_
_atom_site_label
_atom_site_fract_x
_atom_site_fract_y
_atom_site_fract_z
_atom_site_occupancy
Na1 0.000 0.000 0.000 1
Tm1 0.000 0.000 0.500 1
Tm2 0.250 0.250 0.250 1
```


[3]
Entry from the Materials Project database: a geometry-optimized Na3W structure (PBE).

The structure in CIF format:
```
data_Na3W
_space_group_name_H-M_alt 'I 4/m m m'
_space_group_IT_number 139
_space_group_name_Hall '-I 4 2'
_cell_length_a 4.888
_cell_length_b 4.888
_cell_length_c 9.626
_cell_angle_alpha 90.00
_cell_angle_beta 90.00
_cell_angle_gamma 90.00
loop_
_atom_site_label
_atom_site_fract_x
_atom_site_fract_y
_atom_site_fract_z
_atom_site_occupancy
Na1 0.000 0.000 0.000 1
Na2 0.000 0.500 0.250 1
W1 0.000 0.000 0.500 1
```


[4]
Entry from the Materials Project database: a geometry-optimized Na3Zn structure (PBE).

The structure in CIF format:
```
data_Na3Zn
_space_group_name_H-M_alt 'P 63/m m c'
_space_group_IT_number 194
_space_group_name_Hall '-P 6c 2c'
_cell_length_a 7.0458
_cell_length_b 7.0458
_cell_length_c 5.4456
_cell_angle_alpha 90.00
_cell_angle_beta 90.00
_cell_angle_gamma 120.00
loop_
_atom_site_label
_atom_site_fract_x
_atom_site_fract_y
_atom_site_fract_z
_atom_site_occupancy
Na1 0.1731 0.3462 0.2500 1
Zn1 0.3333 0.6667 0.7500 1
```


| no. | calculated density (g/cm3) | ΔH_f (0 K) (eV/atom) |
| --- | --- | --- |
| 1 | 5.021 | 0.299 |
| 2 | 7.275 | 0.326 |
| 3 | 3.650 | 1.370 |
| 4 | 1.906 | 0.067 |